# 1
A plane-wave DFT calculation with PBE was carried out for a relaxed DyMg149 crystal.

Values from the calculation:
The formation energy is -0.026 eV per atom. The total energy comes out at -246.9 eV/cell.

Cell: 16.0117 16.0117 15.6414 Å, 90.00 90.00 120.00°
Space group P-6m2 (No. 187)
Unique sites:
Dy (0.0000, 0.0000, 0.0000) (multiplicity 1)
Mg (0.0000, 0.0000, 0.3348) (multiplicity 2)
Mg (0.0000, 0.2006, 0.3335) (multiplicity 12)
Mg (0.0001, 0.4002, 0.0000) (multiplicity 6)
Mg (0.9998, 0.4003, 0.3338) (multiplicity 12)
Mg (0.0028, 0.2049, 0.0000) (multiplicity 6)
Mg (0.0660, 0.5330, 0.5000) (multiplicity 3)
Mg (0.0668, 0.1336, 0.5000) (multiplicity 3)
Mg (0.0669, 0.3336, 0.5000) (multiplicity 6)
Mg (0.0667, 0.5334, 0.1673) (multiplicity 6)
Mg (0.0680, 0.1359, 0.1696) (multiplicity 6)
Mg (0.0680, 0.3355, 0.1677) (multiplicity 12)
Mg (0.2002, 0.4004, 0.3341) (multiplicity 6)
Mg (0.1998, 0.5999, 0.3336) (multiplicity 6)
Mg (0.2005, 0.6003, 0.0000) (multiplicity 3)
Mg (0.2016, 0.4031, 0.0000) (multiplicity 3)
Mg (0.2640, 0.1320, 0.1647) (multiplicity 6)
Mg (0.2672, 0.1336, 0.5000) (multiplicity 3)
Mg (0.2671, 0.5343, 0.1673) (multiplicity 6)
Mg (0.2668, 0.5335, 0.5000) (multiplicity 3)
Mg (0.3997, 0.1998, 0.3328) (multiplicity 6)
Mg (0.4012, 0.2006, 0.0000) (multiplicity 3)
Mg (0.4657, 0.1330, 0.1665) (multiplicity 12)
Mg (0.4670, 0.1341, 0.5000) (multiplicity 6)
Mg (0.6001, 0.2001, 0.0000) (multiplicity 3)
Mg (0.6000, 0.1999, 0.3327) (multiplicity 6)
Mg (0.6667, 0.3333, 0.1661) (multiplicity 2)
Mg (0.6667, 0.3333, 0.5000) (multiplicity 1)



# 2
A plane-wave DFT calculation with PBE was carried out for a relaxed DyMgMnS4 crystal.

Values from the calculation:
The formation energy is -1.552 eV per atom. The total energy comes out at -163.1 eV/cell.

Cell: 7.5774 7.7411 10.5383 Å, 90.00 90.00 90.00°
Space group Imma (No. 74)
Unique sites:
Dy (0.0000, 0.0000, 0.0000) (multiplicity 4)
Mg (0.0000, 0.2500, 0.3742) (multiplicity 4)
Mn (0.2500, 0.2500, 0.7500) (multiplicity 4)
S (0.0000, 0.0298, 0.7447) (multiplicity 8)
S (0.2479, 0.2500, 0.9796) (multiplicity 8)



# 3
A plane-wave DFT calculation with PBE was carried out for a relaxed DyMgMoS4 crystal.

Values from the calculation:
The formation energy is -1.503 eV per atom. The total energy comes out at -168.4 eV/cell.

Cell: 7.6440 7.7056 10.7723 Å, 90.00 90.00 90.00°
Space group Imma (No. 74)
Unique sites:
Dy (0.0000, 0.0000, 0.0000) (multiplicity 4)
Mg (0.0000, 0.2500, 0.3768) (multiplicity 4)
Mo (0.2500, 0.2500, 0.7500) (multiplicity 4)
S (0.0000, 0.0282, 0.7465) (multiplicity 8)
S (0.2476, 0.2500, 0.9847) (multiplicity 8)